DFT (PBE) results for ThCdPd2 after structural relaxation.

Results
Its calculated density is 10.86 g/cm3. The calculation puts the volume at 21.30 A^3/atom. Its space group is Fm-3m, No. 225. Its total energy is -5.33 eV/atom.

Cell lengths 4.939, 4.939, 4.939 Å; angles 60.00, 60.00, 60.00 degrees
Fractional coordinates of all 4 atoms:
Th1 0.000 0.000 0.000
Cd1 0.500 0.500 0.500
Pd1 0.250 0.250 0.250
Pd2 0.750 0.750 0.750